1.
This record from the Materials Project describes KPt3 after structural relaxation. The functional is PBE.

Summary:
**SG**: P6_3/mmc, No. 194
**Energy of formation from the pure elements**: 0.435 eV/atom
**Calculated total energy**: -35.17 eV for the cell shown

extended XYZ file:
```
8
Lattice="3.2634 -5.6523 0.0000 3.2634 5.6523 0.0000 0.0000 0.0000 4.5828" Properties=species:S:1:pos:R:3 pbc="T T T"
K 3.2634 -1.8841 1.1457
K 3.2634 1.8841 3.4371
Pt 5.1684 -0.7842 3.4371
Pt 1.3583 -0.7842 3.4371
Pt 3.2634 -4.0838 3.4371
Pt 5.1684 0.7842 1.1457
Pt 3.2634 4.0838 1.1457
Pt 1.3583 0.7842 1.1457
```


2.
This record from the Materials Project describes K2Pt after structural relaxation. The functional is PBE.

Summary:
**SG**: Fm-3m, No. 225
**Energy of formation from the pure elements**: 0.009 eV/atom
**Calculated total energy**: -8.26 eV for the cell shown

extended XYZ file:
```
3
Lattice="2.4832 3.8138 -2.9375 -2.3356 1.8987 -4.5033 -1.9694 5.0447 -0.1092" Properties=species:S:1:pos:R:3 pbc="T T T"
Pt 0.0000 0.0000 0.0000
K -1.3663 8.0679 -5.6625
K -0.4554 2.6893 -1.8875
```


3.
This record from the Materials Project describes K2PtS6 after structural relaxation. The functional is PBE.

Summary:
**SG**: C2/m, No. 12
**Relative energy among the computed polymorphs**: 0 meV/atom
**Energy of formation from the pure elements**: -0.542 eV/atom
**MP2020-corrected energy**: -4.22 eV per atom
**Calculated total energy**: -34.97 eV for the cell shown

extended XYZ file:
```
9
Lattice="-3.9228 -1.9020 6.1434 3.1426 -4.4191 5.2291 1.8300 4.2211 2.5208" Properties=species:S:1:pos:R:3 pbc="T T T"
S 1.0002 -1.4069 11.6021
S 2.7555 -0.2993 8.6404
S 1.3441 -2.8872 4.8583
S 0.0496 -0.6931 2.2912
S -0.2943 0.7872 9.0350
S -1.7057 -1.8008 5.2530
K 0.1946 -2.6007 8.6633
K 0.8552 0.5006 5.2301
Pt 0.0000 0.0000 0.0000
```


4.
This record from the Materials Project describes K2PtS6 after structural relaxation. The functional is PBE.

Summary:
**SG**: P-1, No. 2
**Relative energy among the computed polymorphs**: 55 meV/atom
**Energy of formation from the pure elements**: -0.487 eV/atom
**MP2020-corrected energy**: -4.17 eV per atom
**Calculated total energy**: -34.48 eV for the cell shown

extended XYZ file:
```
9
Lattice="-4.2933 -5.4655 0.8541 -4.5817 5.6266 0.8783 2.5684 -0.1297 -7.9019" Properties=species:S:1:pos:R:3 pbc="T T T"
S -1.7936 0.0318 -1.4924
S -7.4255 1.1527 0.1179
S -4.5129 0.0000 -4.6770
S 1.1554 0.9235 -6.2927
S 1.1183 -1.1213 -6.2873
S -7.4626 -0.8927 0.1234
K -3.2215 2.2892 -3.0521
K -3.0842 -2.2575 -3.1178
Pt 2.5681 -0.1298 -7.9017
```


5.
This record from the Materials Project describes KSi4Pt4 after structural relaxation. The functional is PBE.

Summary:
**SG**: I4, No. 79
**Energy of formation from the pure elements**: -0.708 eV/atom
**Calculated total energy**: -53.46 eV for the cell shown

extended XYZ file:
```
9
Lattice="-4.2420 4.2420 2.3212 4.2420 -4.2420 2.3212 4.2420 4.2420 -2.3212" Properties=species:S:1:pos:R:3 pbc="T T T"
Pt 2.7749 1.4845 2.3222
Pt -1.4845 2.7749 2.3222
Pt 5.7265 1.4672 0.0010
Pt 1.4672 2.7575 0.0010
Si 0.9705 3.2769 2.3218
Si 3.2716 0.9651 0.0006
Si 0.9651 5.2125 0.0006
Si 3.2769 -0.9705 2.3218
K 0.0000 0.0000 1.3864
```


6.
This record from the Materials Project describes K2Te2Pt after structural relaxation. The functional is PBE.

Summary:
**SG**: Immm, No. 71
**Energy of formation from the pure elements**: -0.810 eV/atom
**Calculated total energy**: -18.63 eV for the cell shown

extended XYZ file:
```
5
Lattice="-0.0333 1.6493 -3.6786 -0.6281 -5.1629 -4.5182 -6.5000 -0.2629 -2.2682" Properties=species:S:1:pos:R:3 pbc="T T T"
Pt 0.0000 0.0000 0.0000
Te -5.2228 -0.5179 -4.6033
Te -1.9386 -3.2585 -5.8618
K -2.0960 -1.2489 -2.7502
K -5.0654 -2.5275 -7.7149
```


Which of these has the lowest calculated total energy?
KSi4Pt4


The highest calculated total energy belongs to which entry?
K2Pt


Look up the energy of formation from the pure elements of the sixth one.
-0.810 eV/atom


Among the records above, which one has the lowest energy of formation from the pure elements?
K2Te2Pt